(1)
DFT (PBE with a Hubbard U) results for an optimized crystal structure of Li24Mn5Cr7O36.

Cell lengths 5.028, 9.752, 13.254 Å; angles 97.06, 100.72, 95.02 degrees
Fractional coordinates of all 72 atoms:
1 Li 0.000 0.000 0.000
2 Li 0.000 0.499 0.499
3 Li 0.115 0.499 0.721
4 Li 0.117 0.999 0.220
5 Li 0.232 0.500 0.941
6 Li 0.237 0.999 0.441
7 Li 0.281 0.250 0.804
8 Li 0.283 0.749 0.303
9 Li 0.330 0.499 0.167
10 Li 0.336 0.998 0.665
11 Li 0.448 0.500 0.386
12 Li 0.451 0.999 0.888
13 Li 0.562 0.001 0.108
14 Li 0.565 0.499 0.606
15 Li 0.615 0.749 0.969
16 Li 0.617 0.250 0.470
17 Li 0.661 0.998 0.332
18 Li 0.666 0.500 0.833
19 Li 0.778 0.000 0.553
20 Li 0.787 0.500 0.054
21 Li 0.899 0.999 0.774
22 Li 0.904 0.500 0.274
23 Li 0.950 0.750 0.636
24 Li 0.951 0.249 0.137
25 Mn 0.170 0.749 0.081
26 Mn 0.389 0.247 0.026
27 Mn 0.395 0.750 0.526
28 Mn 0.506 0.750 0.748
29 Mn 0.729 0.251 0.692
30 Cr 0.059 0.250 0.361
31 Cr 0.059 0.750 0.857
32 Cr 0.177 0.250 0.584
33 Cr 0.510 0.249 0.246
34 Cr 0.722 0.748 0.190
35 Cr 0.833 0.250 0.915
36 Cr 0.844 0.751 0.416
37 O 0.018 0.136 0.671
38 O 0.024 0.634 0.171
39 O 0.094 0.360 0.028
40 O 0.095 0.861 0.530
41 O 0.140 0.137 0.910
42 O 0.144 0.638 0.412
43 O 0.214 0.863 0.769
44 O 0.216 0.364 0.269
45 O 0.276 0.136 0.122
46 O 0.279 0.860 0.982
47 O 0.281 0.638 0.625
48 O 0.282 0.362 0.485
49 O 0.349 0.136 0.337
50 O 0.357 0.635 0.837
51 O 0.420 0.862 0.195
52 O 0.426 0.361 0.696
53 O 0.472 0.638 0.078
54 O 0.479 0.137 0.578
55 O 0.542 0.865 0.436
56 O 0.548 0.363 0.936
57 O 0.613 0.361 0.149
58 O 0.620 0.138 0.792
59 O 0.620 0.861 0.649
60 O 0.622 0.637 0.291
61 O 0.681 0.135 0.006
62 O 0.685 0.636 0.504
63 O 0.754 0.863 0.862
64 O 0.770 0.363 0.363
65 O 0.796 0.137 0.244
66 O 0.806 0.639 0.745
67 O 0.874 0.365 0.602
68 O 0.880 0.862 0.104
69 O 0.944 0.862 0.317
70 O 0.949 0.637 0.958
71 O 0.951 0.363 0.814
72 O 0.955 0.138 0.458

Results
SG: P1 (1)
Total energy (eV/atom): -6.241

***

(2)
DFT (PBE with a Hubbard U) results for an optimized crystal structure of LiMn2Cr2O8.

Cell lengths 5.863, 10.119, 10.297 Å; angles 109.17, 90.08, 90.38 degrees
Fractional coordinates of all 52 atoms:
1 Li 0.000 0.000 0.000
2 Li 0.001 0.495 0.488
3 Li 0.501 0.747 0.250
4 Li 0.737 0.493 0.751
5 Mn 0.006 0.999 0.496
6 Mn 0.246 0.249 0.501
7 Mn 0.249 0.743 0.994
8 Mn 0.499 0.000 0.999
9 Mn 0.500 0.498 0.496
10 Mn 0.749 0.747 0.998
11 Mn 0.750 0.250 0.998
12 Mn 0.998 0.498 0.002
13 Cr 0.001 0.747 0.248
14 Cr 0.004 0.245 0.749
15 Cr 0.251 0.752 0.501
16 Cr 0.255 0.255 0.000
17 Cr 0.497 0.248 0.248
18 Cr 0.498 0.750 0.751
19 Cr 0.741 0.238 0.496
20 Cr 0.752 0.755 0.504
21 O 0.001 0.145 0.892
22 O 0.003 0.871 0.600
23 O 0.004 0.850 0.105
24 O 0.005 0.130 0.395
25 O 0.219 0.371 0.890
26 O 0.223 0.129 0.610
27 O 0.226 0.631 0.113
28 O 0.228 0.865 0.384
29 O 0.273 0.370 0.388
30 O 0.274 0.125 0.107
31 O 0.274 0.869 0.889
32 O 0.275 0.627 0.608
33 O 0.494 0.148 0.388
34 O 0.497 0.858 0.101
35 O 0.500 0.348 0.110
36 O 0.500 0.369 0.603
37 O 0.502 0.634 0.395
38 O 0.504 0.129 0.897
39 O 0.504 0.642 0.882
40 O 0.505 0.847 0.612
41 O 0.723 0.622 0.614
42 O 0.724 0.370 0.389
43 O 0.725 0.128 0.110
44 O 0.725 0.871 0.890
45 O 0.772 0.632 0.114
46 O 0.778 0.866 0.384
47 O 0.782 0.370 0.883
48 O 0.785 0.126 0.607
49 O 0.991 0.626 0.894
50 O 0.992 0.354 0.611
51 O 0.996 0.369 0.102
52 O 0.998 0.646 0.391

Results
SG: P1 (1)
Distance to the lowest polymorph of the same formula (eV/atom): 0.000

***

(3)
DFT (PBE with a Hubbard U) results for an optimized crystal structure of Li3MnCr3O8.

Cell lengths 5.948, 5.948, 5.948 Å; angles 59.64, 59.64, 59.64 degrees
Fractional coordinates of all 15 atoms:
1 Li 0.000 0.500 0.500
2 Li 0.500 0.000 0.500
3 Li 0.500 0.500 0.000
4 Mn 0.500 0.500 0.500
5 Cr 0.000 0.000 0.500
6 Cr 0.000 0.500 0.000
7 Cr 0.500 0.000 0.000
8 O 0.241 0.241 0.241
9 O 0.253 0.731 0.731
10 O 0.269 0.269 0.747
11 O 0.269 0.747 0.269
12 O 0.731 0.253 0.731
13 O 0.731 0.731 0.253
14 O 0.747 0.269 0.269
15 O 0.759 0.759 0.759

Results
SG: R-3m (166)
Distance to the lowest polymorph of the same formula (eV/atom): 0.000

***

(4)
DFT (PBE with a Hubbard U) results for an optimized crystal structure of Li24Mn5Cr7O36.

Cell lengths 5.002, 9.740, 13.300 Å; angles 97.06, 100.40, 94.48 degrees
Fractional coordinates of all 72 atoms:
1 Li 0.000 0.000 0.000
2 Li 0.001 0.502 0.502
3 Li 0.118 0.001 0.221
4 Li 0.119 0.500 0.722
5 Li 0.238 0.000 0.443
6 Li 0.241 0.500 0.942
7 Li 0.288 0.251 0.804
8 Li 0.290 0.750 0.304
9 Li 0.333 0.999 0.668
10 Li 0.338 0.502 0.169
11 Li 0.452 0.501 0.388
12 Li 0.454 0.001 0.888
13 Li 0.569 0.999 0.107
14 Li 0.572 0.501 0.610
15 Li 0.620 0.751 0.971
16 Li 0.623 0.250 0.472
17 Li 0.663 0.499 0.833
18 Li 0.670 0.002 0.335
19 Li 0.788 0.999 0.555
20 Li 0.789 0.501 0.054
21 Li 0.902 0.499 0.274
22 Li 0.908 0.002 0.776
23 Li 0.953 0.250 0.138
24 Li 0.955 0.751 0.638
25 Mn 0.063 0.249 0.360
26 Mn 0.178 0.752 0.083
27 Mn 0.398 0.751 0.527
28 Mn 0.728 0.749 0.193
29 Mn 0.731 0.251 0.694
30 Cr 0.062 0.751 0.863
31 Cr 0.182 0.250 0.581
32 Cr 0.395 0.250 0.029
33 Cr 0.512 0.750 0.747
34 Cr 0.514 0.251 0.251
35 Cr 0.843 0.250 0.913
36 Cr 0.848 0.750 0.414
37 O 0.023 0.137 0.673
38 O 0.024 0.637 0.173
39 O 0.101 0.864 0.532
40 O 0.104 0.363 0.030
41 O 0.136 0.138 0.912
42 O 0.141 0.639 0.413
43 O 0.212 0.365 0.270
44 O 0.222 0.865 0.771
45 O 0.282 0.361 0.484
46 O 0.284 0.638 0.624
47 O 0.289 0.863 0.986
48 O 0.291 0.138 0.127
49 O 0.352 0.636 0.839
50 O 0.355 0.136 0.339
51 O 0.429 0.862 0.198
52 O 0.434 0.364 0.699
53 O 0.475 0.139 0.580
54 O 0.478 0.639 0.078
55 O 0.550 0.864 0.437
56 O 0.556 0.365 0.937
57 O 0.617 0.363 0.152
58 O 0.617 0.637 0.290
59 O 0.618 0.138 0.791
60 O 0.619 0.862 0.650
61 O 0.685 0.136 0.005
62 O 0.689 0.637 0.506
63 O 0.764 0.362 0.365
64 O 0.772 0.863 0.864
65 O 0.802 0.638 0.746
66 O 0.815 0.139 0.245
67 O 0.882 0.864 0.103
68 O 0.884 0.364 0.603
69 O 0.947 0.861 0.316
70 O 0.950 0.137 0.457
71 O 0.952 0.362 0.816
72 O 0.958 0.639 0.961

Results
SG: P1 (1)
Total energy (eV/atom): -6.241

***

(5)
DFT (PBE with a Hubbard U) results for an optimized crystal structure of Li24Mn5Cr7O36.

Cell lengths 5.037, 9.755, 13.260 Å; angles 96.85, 100.52, 95.11 degrees
Fractional coordinates of all 72 atoms:
1 Li 0.000 0.000 0.000
2 Li 0.001 0.499 0.501
3 Li 0.114 0.000 0.221
4 Li 0.116 0.500 0.720
5 Li 0.168 0.249 0.583
6 Li 0.168 0.750 0.083
7 Li 0.215 0.999 0.448
8 Li 0.218 0.499 0.948
9 Li 0.330 0.999 0.666
10 Li 0.334 0.499 0.167
11 Li 0.454 0.499 0.389
12 Li 0.455 0.000 0.889
13 Li 0.505 0.249 0.251
14 Li 0.505 0.749 0.751
15 Li 0.554 0.498 0.613
16 Li 0.554 0.998 0.113
17 Li 0.667 0.501 0.834
18 Li 0.671 0.999 0.335
19 Li 0.785 0.499 0.054
20 Li 0.787 0.000 0.555
21 Li 0.835 0.749 0.417
22 Li 0.837 0.250 0.919
23 Li 0.882 0.500 0.281
24 Li 0.882 0.998 0.780
25 Mn 0.613 0.250 0.474
26 Mn 0.615 0.751 0.974
27 Mn 0.722 0.748 0.195
28 Mn 0.945 0.249 0.139
29 Mn 0.945 0.749 0.640
30 Cr 0.063 0.249 0.361
31 Cr 0.064 0.749 0.862
32 Cr 0.272 0.747 0.304
33 Cr 0.273 0.247 0.803
34 Cr 0.396 0.250 0.029
35 Cr 0.397 0.751 0.529
36 Cr 0.724 0.249 0.698
37 O 0.022 0.638 0.191
38 O 0.031 0.136 0.693
39 O 0.095 0.365 0.049
40 O 0.095 0.864 0.549
41 O 0.164 0.861 0.764
42 O 0.165 0.361 0.263
43 O 0.169 0.137 0.905
44 O 0.172 0.636 0.404
45 O 0.235 0.136 0.118
46 O 0.235 0.636 0.618
47 O 0.318 0.362 0.479
48 O 0.318 0.862 0.979
49 O 0.353 0.138 0.359
50 O 0.357 0.638 0.859
51 O 0.427 0.365 0.719
52 O 0.434 0.862 0.217
53 O 0.495 0.861 0.430
54 O 0.497 0.361 0.930
55 O 0.499 0.637 0.072
56 O 0.501 0.138 0.572
57 O 0.574 0.133 0.783
58 O 0.574 0.634 0.285
59 O 0.647 0.361 0.144
60 O 0.648 0.861 0.645
61 O 0.693 0.638 0.525
62 O 0.694 0.138 0.024
63 O 0.765 0.863 0.883
64 O 0.767 0.363 0.383
65 O 0.830 0.136 0.236
66 O 0.831 0.636 0.737
67 O 0.835 0.360 0.596
68 O 0.838 0.861 0.096
69 O 0.902 0.135 0.452
70 O 0.902 0.636 0.951
71 O 0.970 0.362 0.808
72 O 0.973 0.861 0.309

Results
SG: P1 (1)
Total energy (eV/atom): -6.242

***

(6)
DFT (PBE with a Hubbard U) results for an optimized crystal structure of Li4MnCrO6.

Cell lengths 5.022, 8.688, 9.752 Å; angles 81.81, 85.18, 89.71 degrees
Fractional coordinates of all 48 atoms:
1 Li 0.000 0.000 0.000
2 Li 0.000 0.671 0.999
3 Li 0.015 0.329 0.000
4 Li 0.130 0.128 0.250
5 Li 0.249 0.920 0.500
6 Li 0.252 0.249 0.500
7 Li 0.259 0.581 0.500
8 Li 0.378 0.375 0.750
9 Li 0.495 0.170 0.001
10 Li 0.502 0.501 0.000
11 Li 0.513 0.830 0.000
12 Li 0.630 0.628 0.250
13 Li 0.751 0.749 0.500
14 Li 0.752 0.419 0.501
15 Li 0.763 0.083 0.499
16 Li 0.881 0.875 0.751
17 Mn 0.129 0.458 0.250
18 Mn 0.377 0.707 0.752
19 Mn 0.629 0.959 0.251
20 Mn 0.881 0.544 0.749
21 Cr 0.131 0.795 0.250
22 Cr 0.383 0.038 0.751
23 Cr 0.631 0.295 0.250
24 Cr 0.876 0.212 0.749
25 O 0.043 0.397 0.637
26 O 0.076 0.716 0.639
27 O 0.080 0.074 0.636
28 O 0.178 0.176 0.864
29 O 0.183 0.535 0.862
30 O 0.216 0.853 0.864
31 O 0.288 0.643 0.139
32 O 0.321 0.324 0.134
33 O 0.325 0.963 0.139
34 O 0.432 0.425 0.364
35 O 0.438 0.786 0.363
36 O 0.469 0.106 0.362
37 O 0.537 0.892 0.639
38 O 0.577 0.572 0.637
39 O 0.585 0.215 0.637
40 O 0.674 0.036 0.863
41 O 0.681 0.678 0.864
42 O 0.722 0.358 0.862
43 O 0.787 0.143 0.139
44 O 0.821 0.824 0.135
45 O 0.826 0.463 0.139
46 O 0.931 0.925 0.364
47 O 0.938 0.286 0.363
48 O 0.969 0.607 0.362

Results
SG: P1 (1)
Distance to the lowest polymorph of the same formula (eV/atom): 0.038